(1)
Density functional theory data (GGA-PBE) for Ca4Mg13Zn29 after structural relaxation.

Calculated values
**Total moment**: 0.16 μB per cell
**Final energy**: -72.6 eV per formula unit
**Formation energy from the elements**: -157 meV per atom

Cell: 15.0098 15.0098 8.5425 Å, 90.00 90.00 120.00°
Last column: nearest neighbours and their distance in Å.
Element x y z (fractional)
Ca1 0.0000 0.0000 0.0000  6 Zn 2.79
Ca2 0.0000 0.0000 0.5000  6 Zn 2.79
Ca3 0.0868 0.5434 0.2500  8 Zn 2.99-3.19
Ca4 0.4566 0.5434 0.2500  8 Zn 2.99-3.19
Ca5 0.4566 0.9132 0.2500  8 Zn 2.99-3.19
Ca6 0.5434 0.0868 0.7500  8 Zn 2.99-3.19
Ca7 0.5434 0.4566 0.7500  8 Zn 2.99-3.19
Ca8 0.9132 0.4566 0.7500  8 Zn 2.99-3.19
Mg1 0.1205 0.2409 0.5667  11 Zn 2.98-3.22, 4 Mg 3.04-3.33, 1 Ca 3.18
Mg2 0.1205 0.2409 0.9333  11 Zn 2.98-3.22, 4 Mg 3.04-3.33, 1 Ca 3.18
Mg3 0.1205 0.8795 0.5667  11 Zn 2.98-3.22, 4 Mg 3.04-3.33, 1 Ca 3.18
Mg4 0.1205 0.8795 0.9333  11 Zn 2.98-3.22, 4 Mg 3.04-3.33, 1 Ca 3.18
Mg5 0.2312 0.4624 0.0476  7 Zn 2.69-2.96
Mg6 0.2312 0.4624 0.4524  7 Zn 2.69-2.96
Mg7 0.2312 0.7688 0.0476  7 Zn 2.69-2.96
Mg8 0.2312 0.7688 0.4524  7 Zn 2.69-2.96
Mg9 0.2409 0.1205 0.0667  11 Zn 2.98-3.22, 4 Mg 3.04-3.33, 1 Ca 3.18
Mg10 0.2409 0.1205 0.4333  11 Zn 2.98-3.22, 4 Mg 3.04-3.33, 1 Ca 3.18
Mg11 0.3333 0.6667 0.7500  8 Zn 2.90-2.97
Mg12 0.4624 0.2312 0.5476  7 Zn 2.69-2.96
Mg13 0.4624 0.2312 0.9524  7 Zn 2.69-2.96
Mg14 0.5376 0.7688 0.0476  7 Zn 2.69-2.96
Mg15 0.5376 0.7688 0.4524  7 Zn 2.69-2.96
Mg16 0.6667 0.3333 0.2500  8 Zn 2.90-2.97
Mg17 0.7591 0.8795 0.5667  11 Zn 2.98-3.22, 4 Mg 3.04-3.33, 1 Ca 3.18
Mg18 0.7591 0.8795 0.9333  11 Zn 2.98-3.22, 4 Mg 3.04-3.33, 1 Ca 3.18
Mg19 0.7688 0.2312 0.5476  7 Zn 2.69-2.96
Mg20 0.7688 0.2312 0.9524  7 Zn 2.69-2.96
Mg21 0.7688 0.5376 0.5476  7 Zn 2.69-2.96
Mg22 0.7688 0.5376 0.9524  7 Zn 2.69-2.96
Mg23 0.8795 0.1205 0.0667  11 Zn 2.98-3.22, 4 Mg 3.04-3.33, 1 Ca 3.18
Mg24 0.8795 0.1205 0.4333  11 Zn 2.98-3.22, 4 Mg 3.04-3.33, 1 Ca 3.18
Mg25 0.8795 0.7591 0.0667  11 Zn 2.98-3.22, 4 Mg 3.04-3.33, 1 Ca 3.18
Mg26 0.8795 0.7591 0.4333  11 Zn 2.98-3.22, 4 Mg 3.04-3.33, 1 Ca 3.18
Zn1 0.0000 0.3643 0.0000  6 Zn 2.65-2.81
Zn2 0.0000 0.3643 0.5000  6 Zn 2.65-2.81
Zn3 0.0000 0.6357 0.0000  6 Zn 2.65-2.81
Zn4 0.0000 0.6357 0.5000  6 Zn 2.65-2.81
Zn5 0.0659 0.3091 0.2500  5 Zn 2.59-2.66
Zn6 0.0659 0.7567 0.2500  5 Zn 2.59-2.66
Zn7 0.0693 0.1386 0.2500  2 Zn 2.59, 2 Ca 2.79
Zn8 0.0693 0.9307 0.2500  2 Zn 2.59, 2 Ca 2.79
Zn9 0.1190 0.4093 0.7500  6 Zn 2.57-2.65
Zn10 0.1190 0.7098 0.7500  6 Zn 2.57-2.65
Zn11 0.1355 0.5677 0.5922  5 Zn 2.64-2.81, 3 Mg 2.87-2.90
Zn12 0.1355 0.5677 0.9078  5 Zn 2.64-2.81, 3 Mg 2.87-2.90
Zn13 0.1386 0.0693 0.7500  2 Zn 2.59, 2 Ca 2.79
Zn14 0.2433 0.3091 0.2500  5 Zn 2.59-2.66
Zn15 0.2433 0.9342 0.2500  5 Zn 2.59-2.66
Zn16 0.2902 0.4093 0.7500  6 Zn 2.57-2.65
Zn17 0.2902 0.8810 0.7500  6 Zn 2.57-2.65
Zn18 0.3091 0.0659 0.7500  5 Zn 2.59-2.66
Zn19 0.3091 0.2433 0.7500  5 Zn 2.59-2.66
Zn20 0.3333 0.6667 0.0976  1 Zn 2.60, 3 Mg 2.69
Zn21 0.3333 0.6667 0.4024  1 Zn 2.60, 3 Mg 2.69
Zn22 0.3643 0.0000 0.0000  6 Zn 2.65-2.81
Zn23 0.3643 0.0000 0.5000  6 Zn 2.65-2.81
Zn24 0.3643 0.3643 0.0000  6 Zn 2.65-2.81
Zn25 0.3643 0.3643 0.5000  6 Zn 2.65-2.81
Zn26 0.4093 0.1190 0.2500  6 Zn 2.57-2.65
Zn27 0.4093 0.2902 0.2500  6 Zn 2.57-2.65
Zn28 0.4323 0.5677 0.5922  5 Zn 2.64-2.81, 3 Mg 2.87-2.90
Zn29 0.4323 0.5677 0.9078  5 Zn 2.64-2.81, 3 Mg 2.87-2.90
Zn30 0.4323 0.8645 0.5922  5 Zn 2.64-2.81, 3 Mg 2.87-2.90
Zn31 0.4323 0.8645 0.9078  5 Zn 2.64-2.81, 3 Mg 2.87-2.90
Zn32 0.5677 0.1355 0.0922  5 Zn 2.64-2.81, 3 Mg 2.87-2.90
Zn33 0.5677 0.1355 0.4078  5 Zn 2.64-2.81, 3 Mg 2.87-2.90
Zn34 0.5677 0.4323 0.0922  5 Zn 2.64-2.81, 3 Mg 2.87-2.90
Zn35 0.5677 0.4323 0.4078  5 Zn 2.64-2.81, 3 Mg 2.87-2.90
Zn36 0.5907 0.7098 0.7500  6 Zn 2.57-2.65
Zn37 0.5907 0.8810 0.7500  6 Zn 2.57-2.65
Zn38 0.6357 0.0000 0.0000  6 Zn 2.65-2.81
Zn39 0.6357 0.0000 0.5000  6 Zn 2.65-2.81
Zn40 0.6357 0.6357 0.0000  6 Zn 2.65-2.81
Zn41 0.6357 0.6357 0.5000  6 Zn 2.65-2.81
Zn42 0.6667 0.3333 0.5976  1 Zn 2.60, 3 Mg 2.69
Zn43 0.6667 0.3333 0.9024  1 Zn 2.60, 3 Mg 2.69
Zn44 0.6909 0.7567 0.2500  5 Zn 2.59-2.66
Zn45 0.6909 0.9342 0.2500  5 Zn 2.59-2.66
Zn46 0.7098 0.1190 0.2500  6 Zn 2.57-2.65
Zn47 0.7098 0.5907 0.2500  6 Zn 2.57-2.65
Zn48 0.7567 0.0659 0.7500  5 Zn 2.59-2.66
Zn49 0.7567 0.6909 0.7500  5 Zn 2.59-2.66
Zn50 0.8614 0.9307 0.2500  2 Zn 2.59, 2 Ca 2.79
Zn51 0.8645 0.4323 0.0922  5 Zn 2.64-2.81, 3 Mg 2.87-2.90
Zn52 0.8645 0.4323 0.4078  5 Zn 2.64-2.81, 3 Mg 2.87-2.90
Zn53 0.8810 0.2902 0.2500  6 Zn 2.57-2.65
Zn54 0.8810 0.5907 0.2500  6 Zn 2.57-2.65
Zn55 0.9307 0.0693 0.7500  2 Zn 2.59, 2 Ca 2.79
Zn56 0.9307 0.8614 0.7500  2 Zn 2.59, 2 Ca 2.79
Zn57 0.9342 0.2433 0.7500  5 Zn 2.59-2.66
Zn58 0.9342 0.6909 0.7500  5 Zn 2.59-2.66

---

(2)
Density functional theory data (GGA-PBE) for CaMgZn after structural relaxation.

Calculated values
**Total moment**: 0.00 μB per cell
**Final energy**: -5.4 eV per formula unit
**Formation energy from the elements**: -174 meV per atom

Cell: 9.6669 5.8473 5.8473 Å, 61.17 90.00 90.00°
Last column: nearest neighbours and their distance in Å.
Element x y z (fractional)
Ca1 0.1777 0.0000 0.0000  5 Mg 3.36-3.54, 7 Zn 3.39-3.51, 4 Ca 3.44-3.62
Ca2 0.3019 0.6657 0.6657  5 Zn 3.32-3.54, 7 Mg 3.45-3.51, 3 Ca 3.57-3.62
Ca3 0.6981 0.6657 0.6657  5 Zn 3.32-3.54, 7 Mg 3.45-3.51, 3 Ca 3.57-3.62
Ca4 0.8223 0.0000 0.0000  5 Mg 3.36-3.54, 7 Zn 3.39-3.51, 4 Ca 3.44-3.62
Mg1 0.2357 0.3286 0.3286  4 Zn 2.90-3.06, 2 Mg 3.10
Mg2 0.5000 0.1653 0.6724  2 Zn 2.85-3.00, 4 Mg 2.93-3.10
Mg3 0.5000 0.6724 0.1653  2 Zn 2.85-3.00, 4 Mg 2.93-3.10
Mg4 0.7643 0.3286 0.3286  4 Zn 2.90-3.06, 2 Mg 3.10
Zn1 0.0000 0.5093 0.5093  2 Zn 2.74, 2 Mg 2.92
Zn2 0.0000 0.5111 0.9772  2 Zn 2.74-2.77, 2 Mg 2.90
Zn3 0.0000 0.9772 0.5111  2 Zn 2.74-2.77, 2 Mg 2.90
Zn4 0.5000 0.1615 0.1615  6 Mg 2.85-3.06

---

(3)
Density functional theory data (GGA-PBE) for Ca3Mg5Zn10 after structural relaxation.

Calculated values
**Total moment**: 0.00 μB per cell
**Final energy**: -30.2 eV per formula unit
**Formation energy from the elements**: -202 meV per atom

Cell: 9.2747 9.2747 9.5565 Å, 90.14 90.14 119.45°
Last column: nearest neighbours and their distance in Å.
Element x y z (fractional)
Ca1 0.0987 0.5071 0.4957  10 Zn 3.19-3.47, 5 Mg 3.29-3.38, 1 Ca 3.55
Ca2 0.1007 0.8993 0.5000  11 Zn 3.21-3.44, 4 Mg 3.26-3.39
Ca3 0.5071 0.0987 0.9957  10 Zn 3.19-3.47, 5 Mg 3.29-3.38, 1 Ca 3.55
Ca4 0.5109 0.7178 0.9981  9 Zn 3.20-3.44, 6 Mg 3.35-3.43, 1 Ca 3.55
Ca5 0.7178 0.5109 0.4981  9 Zn 3.20-3.44, 6 Mg 3.35-3.43, 1 Ca 3.55
Ca6 0.8993 0.1007 0.0000  11 Zn 3.21-3.44, 4 Mg 3.26-3.39
Mg1 0.1468 0.4547 0.1624  7 Zn 2.86-3.01, 2 Mg 3.07-3.10
Mg2 0.1472 0.9986 0.1583  8 Zn 2.88-3.04, 1 Mg 3.07
Mg3 0.1491 0.4634 0.8380  6 Zn 2.89-2.94, 3 Mg 3.07-3.10
Mg4 0.4547 0.1468 0.6624  7 Zn 2.86-3.01, 2 Mg 3.07-3.10
Mg5 0.4618 0.6190 0.6572  6 Zn 2.90-2.98, 3 Mg 3.04-3.07
Mg6 0.4634 0.1491 0.3380  6 Zn 2.89-2.94, 3 Mg 3.07-3.10
Mg7 0.4653 0.6227 0.3388  6 Zn 2.88-2.95, 3 Mg 3.04-3.07
Mg8 0.6190 0.4618 0.1572  6 Zn 2.90-2.98, 3 Mg 3.04-3.07
Mg9 0.6227 0.4653 0.8388  6 Zn 2.88-2.95, 3 Mg 3.04-3.07
Mg10 0.9986 0.1472 0.6583  8 Zn 2.88-3.04, 1 Mg 3.07
Zn1 0.1503 0.9952 0.8399  6 Zn 2.86-2.97, 3 Mg 2.99-3.04
Zn2 0.1714 0.7419 0.9965  7 Zn 2.60-2.88, 1 Mg 2.91
Zn3 0.3028 0.3063 0.4898  1 Zn 2.86, 5 Mg 2.93-2.99
Zn4 0.3052 0.8049 0.2475  4 Zn 2.63-2.72, 2 Mg 2.88-2.91
Zn5 0.3048 0.8087 0.7490  5 Zn 2.60-2.87, 1 Mg 2.86
Zn6 0.3063 0.3028 0.9898  1 Zn 2.86, 5 Mg 2.93-2.99
Zn7 0.4426 0.8754 0.4983  6 Zn 2.64-2.84, 4 Mg 2.89-2.92
Zn8 0.6406 0.9735 0.7425  6 Zn 2.67-2.85, 2 Mg 2.97-2.98
Zn9 0.6416 0.9741 0.2543  7 Zn 2.66-2.97, 2 Mg 2.94-2.95
Zn10 0.7398 0.8775 0.4976  7 Zn 2.62-2.90, 2 Mg 2.90
Zn11 0.7419 0.1714 0.4965  7 Zn 2.60-2.88, 1 Mg 2.91
Zn12 0.8049 0.3052 0.7475  4 Zn 2.63-2.72, 2 Mg 2.88-2.91
Zn13 0.8087 0.3048 0.2490  5 Zn 2.60-2.87, 1 Mg 2.86
Zn14 0.8087 0.8092 0.2485  5 Zn 2.62-2.89, 2 Mg 2.88-2.91
Zn15 0.8092 0.8087 0.7485  5 Zn 2.62-2.89, 2 Mg 2.88-2.91
Zn16 0.8754 0.4426 0.9983  6 Zn 2.64-2.84, 4 Mg 2.89-2.92
Zn17 0.8775 0.7398 0.9976  7 Zn 2.62-2.90, 2 Mg 2.90
Zn18 0.9735 0.6406 0.2425  6 Zn 2.67-2.85, 2 Mg 2.97-2.98
Zn19 0.9741 0.6416 0.7543  7 Zn 2.66-2.97, 2 Mg 2.94-2.95
Zn20 0.9952 0.1503 0.3399  6 Zn 2.86-2.97, 3 Mg 2.99-3.04